The following is a DFT calculation (PBE+U) of a relaxed structure of MnC2O6.

Unit cell a=7.527 b=7.422 c=8.931 alpha=90.00 beta=99.87 gamma=90.00
Space group P2_1/c (No. 14)
Symmetry-distinct sites (fractional):
1 Mn 0.000 0.000 0.000 (multiplicity 2)
2 Mn 0.500 0.000 0.500 (multiplicity 2)
3 C 0.171 0.156 0.321 (multiplicity 4)
4 C 0.323 0.737 0.494 (multiplicity 4)
5 O 0.050 0.116 0.205 (multiplicity 4)
6 O 0.128 0.248 0.927 (multiplicity 4)
7 O 0.245 0.586 0.501 (multiplicity 4)
8 O 0.292 0.618 0.068 (multiplicity 4)
9 O 0.336 0.099 0.327 (multiplicity 4)
10 O 0.452 0.745 0.915 (multiplicity 4)

## Properties
ρ = 2.36 g cm⁻³
Energy of formation from the pure elements = -161.2 kJ per mole of atoms
Magnetic moment = 3.0 μB per formula unit
Raw total energy = -266.20 eV/cell